Entry from Materials Project: a geometry-optimized Na3PS4 structure (r²SCAN).

Formation enthalpy at 0 K = -1.04 eV/atom
SG = No. 217

abc: 6.9467 6.9467 6.9467
angles: 90.00 90.00 90.00
Closest atoms and distances in Å follow each position.
Atoms (fractional coordinates):
Na 0.0000 0.0000 0.5000  4 S 2.84
Na 0.0000 0.5000 0.0000  4 S 2.84
Na 0.0000 0.5000 0.5000  4 S 2.84
Na 0.5000 0.0000 0.0000  4 S 2.84
Na 0.5000 0.0000 0.5000  4 S 2.84
Na 0.5000 0.5000 0.0000  4 S 2.84
P 0.0000 0.0000 0.0000  4 S 2.06
P 0.5000 0.5000 0.5000  4 S 2.06
S 0.1708 0.1708 0.8292  1 P 2.06
S 0.1708 0.8292 0.1708  1 P 2.06
S 0.3292 0.3292 0.3292  1 P 2.06
S 0.3292 0.6708 0.6708  1 P 2.06
S 0.6708 0.3292 0.6708  1 P 2.06
S 0.6708 0.6708 0.3292  1 P 2.06
S 0.8292 0.1708 0.1708  1 P 2.06
S 0.8292 0.8292 0.8292  1 P 2.06